! YTmCu2 (PBE-GGA, relaxed); values from VASP
! Calculated volume   80.7 Å³ per cell
! ΔE_f   -1.03 eV/f.u.
! Calculated total energy   -20.18 eV per cell
! Space-group type   No. 225
&SYSTEM
  ibrav = 0, nat = 4, ntyp = 3
/
ATOMIC_SPECIES
Y 88.91 Y.upf
Tm 168.93 Tm.upf
Cu 63.55 Cu.upf
CELL_PARAMETERS angstrom
0.0000 3.4297 3.4297
3.4297 0.0000 3.4297
3.4297 3.4297 0.0000
ATOMIC_POSITIONS angstrom
Y 0.0000 0.0000 0.0000
Tm 3.4297 3.4297 3.4297
Cu 1.7149 1.7149 1.7149
Cu 5.1446 5.1446 5.1446

! Mg6AlCo (PBE-GGA, relaxed); values from VASP
! Calculated volume   306.8 Å³ per cell
! Distance to the lowest polymorph of the same formula   0.000 eV/atom
! ΔE_f   0.71 eV/f.u.
! Calculated total energy   -39.48 eV per cell
&SYSTEM
  ibrav = 0, nat = 16, ntyp = 3
/
ATOMIC_SPECIES
Mg 24.30 Mg.upf
Al 26.98 Al.upf
Co 58.93 Co.upf
CELL_PARAMETERS angstrom
4.7376 0.0000 0.0000
0.0000 6.1224 0.0000
0.0000 0.0000 10.5787
ATOMIC_POSITIONS angstrom
Mg 0.0000 4.5065 9.6450
Mg 0.0000 1.6159 9.6450
Mg 0.0000 3.0612 1.7682
Mg 2.3688 4.6337 0.9344
Mg 2.3688 1.4887 0.9344
Mg 2.3688 3.0612 3.5312
Mg 0.0000 1.4453 4.3557
Mg 0.0000 4.6772 4.3557
Mg 0.0000 0.0000 7.0575
Mg 2.3688 1.5725 6.2238
Mg 2.3688 4.5499 6.2238
Mg 2.3688 0.0000 8.8205
Al 0.0000 3.0612 7.2147
Al 0.0000 0.0000 1.9254
Co 2.3688 3.0612 8.6418
Co 2.3688 0.0000 3.3525

! TbBO3 (PBE-GGA, relaxed); values from VASP
! Calculated volume   123.3 Å³ per cell
! ΔE_f   -17.34 eV/f.u.
! Calculated total energy   -82.87 eV per cell
! Space-group type   No. 6
&SYSTEM
  ibrav = 0, nat = 10, ntyp = 3
/
ATOMIC_SPECIES
Tb 158.93 Tb.upf
B 10.81 B.upf
O 16.00 O.upf
CELL_PARAMETERS angstrom
3.9313 0.0000 0.0000
0.0000 8.5838 0.0000
-1.6396 0.0000 3.6542
ATOMIC_POSITIONS angstrom
Tb 0.0000 2.1485 0.0000
Tb 0.0000 6.4354 0.0000
B 0.5630 0.0000 2.5679
B 2.0396 4.2919 1.5513
O 0.0643 1.2554 2.2192
O 0.0643 7.3284 2.2192
O 1.9601 3.0430 0.9363
O 1.9601 5.5409 0.9363
O 1.6652 0.0000 3.3956
O 2.2552 4.2919 2.9067

! Na2LiBiBr6 (PBE-GGA, relaxed); values from VASP
! Calculated volume   339.8 Å³ per cell
! ΔE_f   -14.10 eV/f.u.
! Calculated total energy   -29.16 eV per cell
! Space-group type   No. 225
&SYSTEM
  ibrav = 0, nat = 10, ntyp = 4
/
ATOMIC_SPECIES
Na 22.99 Na.upf
Li 6.94 Li.upf
Bi 208.98 Bi.upf
Br 79.90 Br.upf
CELL_PARAMETERS angstrom
0.0000 5.5388 5.5388
5.5388 0.0000 5.5388
5.5388 5.5388 0.0000
ATOMIC_POSITIONS angstrom
Na 2.7694 2.7694 2.7694
Na 8.3082 8.3082 8.3082
Li 0.0000 0.0000 0.0000
Bi 5.5388 5.5388 5.5388
Br 5.5388 5.5388 2.6931
Br 5.5388 2.6931 5.5388
Br 8.3845 5.5388 5.5388
Br 2.6931 5.5388 5.5388
Br 5.5388 8.3845 5.5388
Br 5.5388 5.5388 8.3845

! MgAl2O4 (PBE-GGA, relaxed); values from VASP
! Calculated volume   544.0 Å³ per cell
! Distance to the lowest polymorph of the same formula   0.027 eV/atom
! ΔE_f   -23.43 eV/f.u.
! Calculated total energy   -396.53 eV per cell
! Space-group type   No. 8
&SYSTEM
  ibrav = 0, nat = 56, ntyp = 3
/
ATOMIC_SPECIES
Mg 24.30 Mg.upf
Al 26.98 Al.upf
O 16.00 O.upf
CELL_PARAMETERS angstrom
4.9963 -2.8789 0.0000
4.9963 2.8789 0.0000
-3.3629 0.0000 18.9116
ATOMIC_POSITIONS angstrom
Mg 0.0000 0.0000 0.0000
Mg -0.0323 0.0000 8.9835
Mg -0.0838 0.0000 17.8512
Mg 3.3035 0.0000 4.2312
Mg 3.2938 0.0000 9.6092
Mg 3.2758 0.0000 13.0335
Mg 6.6336 0.0000 4.8430
Mg 4.9347 0.0000 16.0095
Al 2.4640 1.4641 1.8295
Al 0.7903 1.4334 11.2998
Al -1.6919 0.0000 11.2965
Al -0.0226 0.0000 3.5876
Al 0.0079 0.0000 14.2513
Al 1.6837 0.0000 6.5646
Al 4.1113 1.3994 6.5644
Al 2.4713 1.4091 16.0290
Al 0.7903 -1.4334 11.2998
Al 2.4640 -1.4641 1.8295
Al 4.9999 0.0000 1.8367
Al 3.2721 0.0000 18.3698
Al 4.1113 -1.3994 6.5644
Al 2.4713 -1.4091 16.0290
Al 6.6306 0.0000 8.2477
Al 6.6291 0.0000 13.6062
O -1.7559 0.0000 14.8226
O -0.0272 0.0000 5.4654
O 0.9077 1.4894 14.7772
O 2.5384 1.3223 5.5454
O 2.3597 1.6234 12.3771
O -0.0381 0.0000 12.4530
O 1.6735 0.0000 2.9290
O 4.1250 1.4115 2.9311
O 1.4902 0.0000 10.3336
O 4.1986 1.5587 10.3311
O 3.3081 0.0000 0.9416
O 5.8916 1.2762 0.7272
O 5.7638 1.5018 7.6481
O 3.3018 0.0000 7.6290
O 3.9491 1.3261 17.2132
O 1.7477 0.0000 17.1463
O 2.5384 -1.3223 5.5454
O 4.8322 0.0000 5.5446
O 3.1921 0.0000 14.9968
O 0.9077 -1.4894 14.7772
O 4.1250 -1.4115 2.9311
O 6.6457 0.0000 2.8471
O 5.1603 0.0000 12.3951
O 2.3597 -1.6234 12.3771
O 5.8916 -1.2762 0.7272
O 8.1300 0.0000 0.7077
O 6.6233 0.0000 10.1061
O 4.1986 -1.5587 10.3311
O 3.9491 -1.3261 17.2132
O 6.7151 0.0000 16.9353
O 5.7638 -1.5018 7.6481
O 8.3680 0.0000 7.6498

! InPb (PBE-GGA, relaxed); values from VASP
! Calculated volume   60.6 Å³ per cell
! ΔE_f   0.05 eV/f.u.
! Calculated total energy   -6.42 eV per cell
! Space-group type   No. 166
&SYSTEM
  ibrav = 0, nat = 2, ntyp = 2
/
ATOMIC_SPECIES
In 114.82 In.upf
Pb 207.20 Pb.upf
CELL_PARAMETERS angstrom
1.7558 1.0137 5.6773
-1.7558 1.0137 5.6773
0.0000 -2.0274 5.6773
ATOMIC_POSITIONS angstrom
In 0.0000 0.0000 0.0000
Pb 0.0000 0.0000 8.5160

! TaSi2 (PBE-GGA, relaxed); values from VASP
! Calculated volume   132.1 Å³ per cell
! ΔE_f   -1.29 eV/f.u.
! Calculated total energy   -72.42 eV per cell
! Space-group type   No. 181
&SYSTEM
  ibrav = 0, nat = 9, ntyp = 2
/
ATOMIC_SPECIES
Ta 180.95 Ta.upf
Si 28.09 Si.upf
CELL_PARAMETERS angstrom
4.8062 0.0000 0.0000
-2.4031 4.1623 0.0000
0.0000 0.0000 6.6041
ATOMIC_POSITIONS angstrom
Ta -1.2016 2.0812 2.2014
Ta 2.4031 0.0000 0.0000
Ta 1.2016 2.0812 4.4027
Si 0.0000 1.3245 0.0000
Si -1.2561 3.5001 4.4027
Si 1.1471 0.6623 2.2014
Si 1.2561 3.5001 2.2014
Si 3.6592 0.6623 4.4027
Si 2.4031 2.8378 0.0000

! Nd2In (PBE-GGA, relaxed); values from VASP
! Calculated volume   186.8 Å³ per cell
! ΔE_f   -1.02 eV/f.u.
! Calculated total energy   -26.61 eV per cell
! Space-group type   No. 194
&SYSTEM
  ibrav = 0, nat = 6, ntyp = 2
/
ATOMIC_SPECIES
Nd 144.24 Nd.upf
In 114.82 In.upf
CELL_PARAMETERS angstrom
5.5702 0.0000 0.0000
-2.7851 4.8239 0.0000
0.0000 0.0000 6.9531
ATOMIC_POSITIONS angstrom
Nd 0.0000 0.0000 0.0000
Nd 0.0000 0.0000 3.4766
Nd 0.0000 3.2159 1.7383
Nd 2.7851 1.6080 5.2148
In 0.0000 3.2159 5.2148
In 2.7851 1.6080 1.7383

! Cs3PdF6 (PBE-GGA, relaxed); values from VASP
! Calculated volume   230.4 Å³ per cell
! ΔE_f   -24.53 eV/f.u.
! Calculated total energy   -41.11 eV per cell
! Space-group type   No. 225
&SYSTEM
  ibrav = 0, nat = 10, ntyp = 3
/
ATOMIC_SPECIES
Cs 132.91 Cs.upf
Pd 106.42 Pd.upf
F 19.00 F.upf
CELL_PARAMETERS angstrom
0.0000 4.8661 4.8661
4.8661 0.0000 4.8661
4.8661 4.8661 0.0000
ATOMIC_POSITIONS angstrom
Cs 0.0000 0.0000 0.0000
Cs 2.4330 2.4330 2.4330
Cs 7.2991 7.2991 7.2991
Pd 4.8661 4.8661 4.8661
F 4.8661 4.8661 2.7972
F 4.8661 2.7972 4.8661
F 6.9349 4.8661 4.8661
F 2.7972 4.8661 4.8661
F 4.8661 6.9349 4.8661
F 4.8661 4.8661 6.9349

! Tm5Rh3 (PBE-GGA, relaxed); values from VASP
! Calculated volume   358.8 Å³ per cell
! ΔE_f   -6.26 eV/f.u.
! Calculated total energy   -101.45 eV per cell
! Space-group type   No. 193
&SYSTEM
  ibrav = 0, nat = 16, ntyp = 2
/
ATOMIC_SPECIES
Tm 168.93 Tm.upf
Rh 102.91 Rh.upf
CELL_PARAMETERS angstrom
8.1962 0.0000 0.0000
-4.0981 7.0981 0.0000
0.0000 0.0000 6.1681
ATOMIC_POSITIONS angstrom
Tm -1.0433 1.8070 1.5420
Tm -3.0548 5.2911 4.6261
Tm 2.0865 0.0000 1.5420
Tm 1.0433 1.8070 4.6261
Tm 0.0000 4.7321 0.0000
Tm 0.0000 4.7321 3.0841
Tm 4.0981 2.3660 0.0000
Tm 4.0981 2.3660 3.0841
Tm 6.1096 0.0000 4.6261
Tm 3.0548 5.2911 1.5420
Rh -1.6156 2.7982 4.6261
Rh -2.4825 4.2998 1.5420
Rh 3.2311 0.0000 4.6261
Rh 1.6156 2.7982 1.5420
Rh 4.9650 0.0000 1.5420
Rh 2.4825 4.2998 4.6261

! Te4Mo3WSe4 (PBE-GGA, relaxed); values from VASP
! Calculated volume   400.8 Å³ per cell
! Distance to the lowest polymorph of the same formula   0.020 eV/atom
! ΔE_f   -6.65 eV/f.u.
! Calculated total energy   -76.81 eV per cell
! Space-group type   No. 156
&SYSTEM
  ibrav = 0, nat = 12, ntyp = 4
/
ATOMIC_SPECIES
Te 127.60 Te.upf
Mo 95.94 Mo.upf
W 183.84 W.upf
Se 78.96 Se.upf
CELL_PARAMETERS angstrom
3.4400 0.0000 0.0000
-1.7200 2.9791 0.0000
0.0000 0.0000 39.1044
ATOMIC_POSITIONS angstrom
Te 0.0000 0.0000 0.0000
Te 0.0000 0.0000 3.7082
Te 0.0000 1.9861 31.7433
Te 0.0000 1.9861 35.4745
Mo 0.0000 0.0000 18.9179
Mo 0.0000 1.9861 1.8553
Mo 0.0000 1.9861 26.2647
W 0.0000 0.0000 33.6095
Se 0.0000 0.0000 24.6285
Se 0.0000 0.0000 27.9000
Se 0.0000 1.9861 17.2832
Se 0.0000 1.9861 20.5528

! Er2CuRu (PBE-GGA, relaxed); values from VASP
! Calculated volume   78.9 Å³ per cell
! ΔE_f   -1.54 eV/f.u.
! Calculated total energy   -24.05 eV per cell
! Space-group type   No. 225
&SYSTEM
  ibrav = 0, nat = 4, ntyp = 3
/
ATOMIC_SPECIES
Er 167.26 Er.upf
Cu 63.55 Cu.upf
Ru 101.07 Ru.upf
CELL_PARAMETERS angstrom
0.0000 3.4038 3.4038
3.4038 0.0000 3.4038
3.4038 3.4038 0.0000
ATOMIC_POSITIONS angstrom
Er 1.7019 1.7019 1.7019
Er 5.1057 5.1057 5.1057
Cu 0.0000 0.0000 0.0000
Ru 3.4038 3.4038 3.4038

! BaAl2Si2 (PBE-GGA, relaxed); values from VASP
! Calculated volume   241.5 Å³ per cell
! ΔE_f   -1.10 eV/f.u.
! Calculated total energy   -43.01 eV per cell
! Space-group type   No. 63
&SYSTEM
  ibrav = 0, nat = 10, ntyp = 3
/
ATOMIC_SPECIES
Ba 137.33 Ba.upf
Al 26.98 Al.upf
Si 28.09 Si.upf
CELL_PARAMETERS angstrom
2.1768 -5.4258 0.0000
2.1768 5.4258 0.0000
0.0000 0.0000 10.2221
ATOMIC_POSITIONS angstrom
Ba 2.1768 4.4949 7.6666
Ba 2.1768 -4.4949 2.5555
Al 2.1768 1.3145 5.4639
Al 2.1768 1.3145 9.8692
Al 2.1768 -1.3145 0.3528
Al 2.1768 -1.3145 4.7582
Si 2.1768 3.2401 1.3534
Si 2.1768 3.2401 3.7576
Si 2.1768 -3.2401 6.4645
Si 2.1768 -3.2401 8.8687

! Ba4Sn3O10 (PBE-GGA, relaxed); values from VASP
! Calculated volume   534.6 Å³ per cell
! Distance to the lowest polymorph of the same formula   0.000 eV/atom
! ΔE_f   -44.86 eV/f.u.
! Calculated total energy   -214.36 eV per cell
! Space-group type   No. 64
&SYSTEM
  ibrav = 0, nat = 34, ntyp = 3
/
ATOMIC_SPECIES
Ba 137.33 Ba.upf
Sn 118.71 Sn.upf
O 16.00 O.upf
CELL_PARAMETERS angstrom
15.1301 -2.9764 0.0000
15.1301 2.9764 0.0000
0.0000 0.0000 5.9358
ATOMIC_POSITIONS angstrom
Ba 2.0980 0.0000 0.0000
Ba 6.1491 0.0000 0.0000
Ba 8.9810 0.0000 2.9679
Ba 13.0321 0.0000 2.9679
Ba 17.2281 0.0000 2.9679
Ba 21.2792 0.0000 2.9679
Ba 24.1110 0.0000 0.0000
Ba 28.1621 0.0000 0.0000
Sn 0.0000 0.0000 2.9679
Sn 4.2136 0.0000 2.9679
Sn 10.9165 0.0000 0.0000
Sn 15.1301 0.0000 0.0000
Sn 19.3436 0.0000 0.0000
Sn 26.0466 0.0000 2.9679
O 2.0998 0.0000 2.9679
O 10.9395 1.5661 1.4049
O 10.9395 1.4103 4.3728
O 6.2986 0.0000 2.9679
O 15.1301 1.6531 4.6183
O 15.1301 1.3233 1.6505
O 8.8314 0.0000 0.0000
O 19.3207 1.5661 1.4049
O 19.3207 1.4103 4.3728
O 13.0302 0.0000 0.0000
O 17.2299 0.0000 0.0000
O 10.9395 -1.4103 1.5630
O 10.9395 -1.5661 4.5309
O 21.4287 0.0000 0.0000
O 15.1301 -1.3233 4.2853
O 15.1301 -1.6531 1.3174
O 23.9615 0.0000 2.9679
O 19.3207 -1.4103 1.5630
O 19.3207 -1.5661 4.5309
O 28.1603 0.0000 2.9679